No. 1
A geometry-optimized Na18Ca8Ta16Si21S15O144 structure. Source: Materials Project, functional PBE.

Magnetic moment ... 0.00 μB/f.u.
Crystal system ... triclinic
Raw total energy ... -0.2704 hartree per atom

abc: 9.1030 15.6301 22.9378
angles: 89.13 89.82 89.90
With the nearest neighbours (Å) after each atom.
Space group P1 (No. 1)
Unique sites:
Na 0.0000 0.0000 0.0000 (multiplicity 1)  2 O 2.25
Na 0.0006 0.3196 0.1684 (multiplicity 1)  6 O 2.49-2.77
Na 0.1353 0.4912 0.2478 (multiplicity 1)  4 O 2.24-2.46
Na 0.1831 0.1639 0.2465 (multiplicity 1)  3 O 2.21-2.44
Na 0.2963 0.6674 0.7485 (multiplicity 1)  3 O 2.25-2.39
Na 0.3468 0.9933 0.7466 (multiplicity 1)  3 O 2.24-2.48
Na 0.4802 0.5025 0.5018 (multiplicity 1)  2 O 2.30-2.34
Na 0.4881 0.8277 0.6734 (multiplicity 1)  5 O 2.54-2.75
Na 0.4925 0.1661 0.3390 (multiplicity 1)  1 O 2.33
Na 0.4971 0.5013 0.9995 (multiplicity 1)  2 O 2.26-2.27
Na 0.5064 0.8359 0.1707 (multiplicity 1)  4 O 2.45-2.74
Na 0.5077 0.1606 0.8315 (multiplicity 1)  2 O 2.26-2.51
Na 0.6808 0.6677 0.2477 (multiplicity 1)  3 O 2.22-2.45
Na 0.7914 0.1551 0.7525 (multiplicity 1)  5 O 2.33-2.57
Na 0.9743 0.3304 0.6734 (multiplicity 1)  4 O 2.50-2.68
Na 0.9841 0.6816 0.3422 (multiplicity 1)  3 O 2.29-2.52
Na 0.9867 0.0019 0.5047 (multiplicity 1)  3 O 2.34-2.52
Na 0.9879 0.6701 0.8362 (multiplicity 1)  1 O 2.26
Ca 0.4889 0.1528 0.1879 (multiplicity 1)  6 O 2.17-2.38
Ca 0.4902 0.4875 0.3702 (multiplicity 1)  6 O 2.14-2.32
Ca 0.4940 0.4873 0.8694 (multiplicity 1)  6 O 2.11-2.35
Ca 0.4993 0.1529 0.6865 (multiplicity 1)  6 O 2.19-2.40
Ca 0.9851 0.6578 0.1856 (multiplicity 1)  6 O 2.18-2.42
Ca 0.9868 0.9866 0.3703 (multiplicity 1)  6 O 2.14-2.33
Ca 0.9871 0.9890 0.8681 (multiplicity 1)  6 O 2.15-2.37
Ca 0.9931 0.6530 0.6880 (multiplicity 1)  6 O 2.18-2.36
Ta 0.0086 0.3234 0.3248 (multiplicity 1)  3 O 1.87-1.93
Ta 0.4758 0.8271 0.8213 (multiplicity 1)  4 O 1.89-1.96
Ta 0.4813 0.4851 0.1503 (multiplicity 1)  4 O 1.88-2.05
Ta 0.4893 0.1426 0.4912 (multiplicity 1)  4 O 1.87-1.98
Ta 0.4901 0.1423 0.9875 (multiplicity 1)  4 O 1.88-1.97
Ta 0.4900 0.8183 0.0275 (multiplicity 1)  6 O 1.89-2.10
Ta 0.4927 0.8187 0.5296 (multiplicity 1)  6 O 1.91-2.07
Ta 0.5011 0.4859 0.6522 (multiplicity 1)  5 O 1.90-2.12
Ta 0.5115 0.8289 0.3243 (multiplicity 1)  3 O 1.86-1.90
Ta 0.9708 0.3257 0.8229 (multiplicity 1)  3 O 1.88-1.90
Ta 0.9804 0.9855 0.1515 (multiplicity 1)  4 O 1.88-2.08
Ta 0.9842 0.9841 0.6550 (multiplicity 1)  5 O 1.91-2.14
Ta 0.9900 0.3191 0.0282 (multiplicity 1)  5 O 1.88-2.02
Ta 0.9896 0.6439 0.4893 (multiplicity 1)  4 O 1.88-1.99
Ta 0.9906 0.6439 0.9887 (multiplicity 1)  4 O 1.89-1.97
Ta 0.9950 0.3185 0.5291 (multiplicity 1)  6 O 1.90-2.07
Si 0.1300 0.8395 0.7622 (multiplicity 1)  3 O 1.56-1.71
Si 0.1327 0.4686 0.4279 (multiplicity 1)  4 O 1.57-1.73
Si 0.1352 0.5018 0.0953 (multiplicity 1)  4 O 1.58-1.70
Si 0.1544 0.1781 0.4290 (multiplicity 1)  4 O 1.57-1.74
Si 0.1958 0.1534 0.0946 (multiplicity 1)  4 O 1.59-1.68
Si 0.2862 0.6520 0.5944 (multiplicity 1)  4 O 1.58-1.70
Si 0.3328 0.9997 0.5953 (multiplicity 1)  4 O 1.58-1.72
Si 0.3332 0.6792 0.9270 (multiplicity 1)  4 O 1.58-1.69
Si 0.3466 0.9663 0.9271 (multiplicity 1)  4 O 1.56-1.70
Si 0.3491 0.3393 0.2620 (multiplicity 1)  3 O 1.56-1.72
Si 0.6325 0.3411 0.7621 (multiplicity 1)  3 O 1.56-1.72
Si 0.6352 0.0019 0.0928 (multiplicity 1)  4 O 1.57-1.70
Si 0.6351 0.9687 0.4298 (multiplicity 1)  4 O 1.57-1.72
Si 0.6517 0.6801 0.4280 (multiplicity 1)  4 O 1.58-1.73
Si 0.6929 0.6533 0.0942 (multiplicity 1)  4 O 1.59-1.68
Si 0.6979 0.9845 0.7618 (multiplicity 1)  4 O 1.58-1.72
Si 0.7896 0.1518 0.5937 (multiplicity 1)  4 O 1.58-1.70
Si 0.8319 0.1794 0.9287 (multiplicity 1)  4 O 1.57-1.72
Si 0.8448 0.5018 0.5933 (multiplicity 1)  4 O 1.56-1.70
Si 0.8487 0.4674 0.9283 (multiplicity 1)  4 O 1.57-1.70
Si 0.8498 0.8403 0.2622 (multiplicity 1)  3 O 1.56-1.71
S 0.1271 0.1383 0.7568 (multiplicity 1)  4 O 1.45-1.53
S 0.1415 0.8075 0.0902 (multiplicity 1)  4 O 1.45-1.52
S 0.2020 0.4796 0.7591 (multiplicity 1)  4 O 1.45-1.53
S 0.2122 0.8132 0.4269 (multiplicity 1)  4 O 1.44-1.51
S 0.2724 0.3126 0.9269 (multiplicity 1)  4 O 1.44-1.50
S 0.2799 0.9794 0.2591 (multiplicity 1)  4 O 1.45-1.53
S 0.3428 0.3065 0.5904 (multiplicity 1)  4 O 1.44-1.52
S 0.3538 0.6360 0.2562 (multiplicity 1)  4 O 1.45-1.55
S 0.6277 0.6346 0.7562 (multiplicity 1)  4 O 1.45-1.55
S 0.6411 0.3062 0.0911 (multiplicity 1)  4 O 1.45-1.52
S 0.7126 0.3123 0.4269 (multiplicity 1)  4 O 1.45-1.53
S 0.7735 0.8117 0.9279 (multiplicity 1)  4 O 1.45-1.50
S 0.7815 0.4800 0.2583 (multiplicity 1)  4 O 1.45-1.53
S 0.8422 0.8049 0.5895 (multiplicity 1)  4 O 1.45-1.51
S 0.8534 0.1365 0.2573 (multiplicity 1)  4 O 1.45-1.54
O 0.0456 0.2234 0.7603 (multiplicity 1)  1 S 1.52
O 0.0489 0.5638 0.4316 (multiplicity 1)  1 Si 1.67
O 0.0574 0.0930 0.7051 (multiplicity 1)  1 S 1.53
O 0.0633 0.4105 0.4796 (multiplicity 1)  1 Si 1.61
O 0.0644 0.4216 0.3658 (multiplicity 1)  1 Si 1.73, 1 Ta 1.88
O 0.0705 0.7662 0.0404 (multiplicity 1)  1 S 1.47
O 0.0707 0.8947 0.0966 (multiplicity 1)  1 S 1.52
O 0.0755 0.2287 0.0769 (multiplicity 1)  1 Si 1.65
O 0.0757 0.5311 0.1567 (multiplicity 1)  1 Si 1.58
O 0.0794 0.4051 0.0814 (multiplicity 1)  1 Si 1.63
O 0.0792 0.7418 0.7580 (multiplicity 1)  1 Si 1.60
O 0.0872 0.2364 0.4807 (multiplicity 1)  1 Si 1.62
O 0.0882 0.0854 0.4280 (multiplicity 1)  1 Si 1.57
O 0.0878 0.8881 0.8190 (multiplicity 1)  1 Si 1.56
O 0.0947 0.9014 0.7019 (multiplicity 1)  1 Si 1.71
O 0.0976 0.0636 0.1029 (multiplicity 1)  1 Si 1.67
O 0.0984 0.5515 0.7529 (multiplicity 1)  1 S 1.47
O 0.0984 0.5716 0.0410 (multiplicity 1)  1 Si 1.68
O 0.1069 0.2376 0.3671 (multiplicity 1)  1 Si 1.74, 1 Ta 1.87
O 0.1077 0.0894 0.8107 (multiplicity 1)  1 S 1.45
O 0.1167 0.3957 0.7644 (multiplicity 1)  1 S 1.53
O 0.1205 0.7339 0.4300 (multiplicity 1)  1 S 1.50
O 0.1232 0.8896 0.4265 (multiplicity 1)  1 S 1.44
O 0.1318 0.7591 0.1447 (multiplicity 1)  1 S 1.45
O 0.1510 0.6809 0.9378 (multiplicity 1)  1 Si 1.68
O 0.1526 0.9959 0.5983 (multiplicity 1)  1 Si 1.64
O 0.1536 0.3387 0.2638 (multiplicity 1)  1 Si 1.78, 1 Ta 1.93
O 0.1597 0.6422 0.5407 (multiplicity 1)  1 Si 1.70
O 0.1762 0.9756 0.9333 (multiplicity 1)  1 Si 1.56
O 0.1767 0.3149 0.9804 (multiplicity 1)  1 S 1.50
O 0.1787 0.3051 0.8737 (multiplicity 1)  1 S 1.50
O 0.1813 0.3249 0.5803 (multiplicity 1)  1 S 1.52
O 0.1859 0.9716 0.2056 (multiplicity 1)  1 S 1.50
O 0.1916 0.9932 0.3109 (multiplicity 1)  1 S 1.45
O 0.1947 0.6450 0.2489 (multiplicity 1)  1 S 1.47
O 0.2186 0.6764 0.6556 (multiplicity 1)  1 Si 1.58
O 0.2631 0.1781 0.1559 (multiplicity 1)  1 Si 1.59
O 0.2830 0.1531 0.7463 (multiplicity 1)  1 S 1.46
O 0.2899 0.4933 0.8110 (multiplicity 1)  1 S 1.45
O 0.2973 0.4722 0.7055 (multiplicity 1)  1 S 1.51
O 0.3016 0.8255 0.0802 (multiplicity 1)  1 S 1.50
O 0.3042 0.4769 0.4324 (multiplicity 1)  1 Si 1.57
O 0.3060 0.8147 0.4797 (multiplicity 1)  1 S 1.48
O 0.3070 0.8061 0.3729 (multiplicity 1)  1 S 1.51
O 0.3215 0.1429 0.0414 (multiplicity 1)  1 Si 1.68
O 0.3211 0.4973 0.0991 (multiplicity 1)  1 Si 1.70, 1 Ta 1.88
O 0.3250 0.8369 0.7630 (multiplicity 1)  1 Si 1.78, 1 Ta 1.92
O 0.3349 0.1820 0.4361 (multiplicity 1)  1 Si 1.65
O 0.3523 0.2579 0.6443 (multiplicity 1)  1 S 1.44
O 0.3608 0.3892 0.9273 (multiplicity 1)  1 S 1.44
O 0.3644 0.2337 0.9316 (multiplicity 1)  1 S 1.49
O 0.3669 0.8957 0.2645 (multiplicity 1)  1 S 1.53
O 0.3787 0.0703 0.5398 (multiplicity 1)  1 Si 1.72, 1 Ta 1.87
O 0.3805 0.7353 0.8663 (multiplicity 1)  1 Si 1.69
O 0.3836 0.0513 0.2529 (multiplicity 1)  1 S 1.47
O 0.3841 0.5623 0.6007 (multiplicity 1)  1 Si 1.67
O 0.3850 0.5871 0.3091 (multiplicity 1)  1 S 1.45
O 0.3872 0.4017 0.2014 (multiplicity 1)  1 Si 1.72
O 0.3938 0.3921 0.3165 (multiplicity 1)  1 Si 1.56
O 0.3953 0.5850 0.9292 (multiplicity 1)  1 Si 1.58
O 0.3978 0.2413 0.2592 (multiplicity 1)  1 Si 1.60
O 0.3980 0.7359 0.9808 (multiplicity 1)  1 Si 1.64
O 0.3986 0.9043 0.5792 (multiplicity 1)  1 Si 1.65
O 0.4032 0.0292 0.6544 (multiplicity 1)  1 Si 1.58
O 0.4037 0.7277 0.5753 (multiplicity 1)  1 Si 1.65
O 0.4116 0.2647 0.5396 (multiplicity 1)  1 S 1.48
O 0.4130 0.3935 0.5958 (multiplicity 1)  1 S 1.51
O 0.4143 0.9213 0.8657 (multiplicity 1)  1 Si 1.70, 1 Ta 1.89
O 0.4201 0.5894 0.2033 (multiplicity 1)  1 S 1.55
O 0.4196 0.9100 0.9797 (multiplicity 1)  1 Si 1.63
O 0.4293 0.7215 0.2571 (multiplicity 1)  1 S 1.50
O 0.4315 0.0619 0.9320 (multiplicity 1)  1 Si 1.69, 1 Ta 1.88
O 0.5433 0.7180 0.7560 (multiplicity 1)  1 S 1.51
O 0.5491 0.0631 0.4334 (multiplicity 1)  1 Si 1.67
O 0.5632 0.5872 0.7031 (multiplicity 1)  1 S 1.55
O 0.5638 0.0330 0.1511 (multiplicity 1)  1 Si 1.57
O 0.5645 0.9103 0.4812 (multiplicity 1)  1 Si 1.61
O 0.5669 0.9226 0.3677 (multiplicity 1)  1 Si 1.72, 1 Ta 1.86
O 0.5709 0.0558 0.7535 (multiplicity 1)  1 Si 1.61
O 0.5715 0.2666 0.0405 (multiplicity 1)  1 S 1.47
O 0.5712 0.3943 0.0975 (multiplicity 1)  1 S 1.52
O 0.5735 0.7282 0.0771 (multiplicity 1)  1 Si 1.64
O 0.5813 0.3875 0.8186 (multiplicity 1)  1 Si 1.56
O 0.5835 0.9042 0.0788 (multiplicity 1)  1 Si 1.64
O 0.5851 0.7366 0.4808 (multiplicity 1)  1 Si 1.62
O 0.5859 0.2437 0.7559 (multiplicity 1)  1 Si 1.59
O 0.5864 0.5868 0.4276 (multiplicity 1)  1 Si 1.58
O 0.5910 0.4025 0.7017 (multiplicity 1)  1 Si 1.72, 1 Ta 1.90
O 0.5957 0.5627 0.1014 (multiplicity 1)  1 Si 1.68
O 0.5965 0.5869 0.8096 (multiplicity 1)  1 S 1.45
O 0.6041 0.0694 0.0361 (multiplicity 1)  1 Si 1.69
O 0.6039 0.7388 0.3665 (multiplicity 1)  1 Si 1.73, 1 Ta 1.89
O 0.6120 0.8888 0.7702 (multiplicity 1)  1 Si 1.70
O 0.6213 0.2338 0.4295 (multiplicity 1)  1 S 1.48
O 0.6242 0.3897 0.4256 (multiplicity 1)  1 S 1.45
O 0.6291 0.2584 0.1453 (multiplicity 1)  1 S 1.45
O 0.6502 0.1815 0.9367 (multiplicity 1)  1 Si 1.66
O 0.6561 0.8369 0.2644 (multiplicity 1)  1 Si 1.76, 1 Ta 1.90
O 0.6603 0.4980 0.5992 (multiplicity 1)  1 Si 1.69
O 0.6617 0.1432 0.5404 (multiplicity 1)  1 Si 1.70
O 0.6777 0.4764 0.9334 (multiplicity 1)  1 Si 1.57
O 0.6805 0.8036 0.8750 (multiplicity 1)  1 S 1.49
O 0.6795 0.8132 0.9814 (multiplicity 1)  1 S 1.49
O 0.6801 0.8224 0.5804 (multiplicity 1)  1 S 1.51
O 0.6876 0.4738 0.2049 (multiplicity 1)  1 S 1.50
O 0.6936 0.4947 0.3102 (multiplicity 1)  1 S 1.45
O 0.6975 0.1520 0.2499 (multiplicity 1)  1 S 1.45
O 0.7230 0.1776 0.6548 (multiplicity 1)  1 Si 1.58
O 0.7601 0.6750 0.1559 (multiplicity 1)  1 Si 1.59
O 0.7839 0.6495 0.7488 (multiplicity 1)  1 S 1.45
O 0.8000 0.0152 0.8130 (multiplicity 1)  1 Si 1.58
O 0.8022 0.3246 0.0820 (multiplicity 1)  1 S 1.51
O 0.8062 0.9771 0.4346 (multiplicity 1)  1 Si 1.57
O 0.8068 0.3149 0.4792 (multiplicity 1)  1 S 1.48
O 0.8087 0.3058 0.3725 (multiplicity 1)  1 S 1.53
O 0.8098 0.9753 0.7016 (multiplicity 1)  1 Si 1.72, 1 Ta 1.91
O 0.8192 0.6433 0.0414 (multiplicity 1)  1 Si 1.68
O 0.8209 0.9976 0.0999 (multiplicity 1)  1 Si 1.70, 1 Ta 1.88
O 0.8262 0.3395 0.7651 (multiplicity 1)  1 Si 1.77, 1 Ta 1.88
O 0.8335 0.6831 0.4346 (multiplicity 1)  1 Si 1.66
O 0.8525 0.7565 0.6438 (multiplicity 1)  1 S 1.45
O 0.8639 0.8877 0.9283 (multiplicity 1)  1 S 1.45
O 0.8661 0.7322 0.9321 (multiplicity 1)  1 S 1.50
O 0.8689 0.3968 0.2632 (multiplicity 1)  1 S 1.53
O 0.8763 0.5694 0.5360 (multiplicity 1)  1 Si 1.70, 1 Ta 1.88
O 0.8783 0.2379 0.8675 (multiplicity 1)  1 Si 1.72, 1 Ta 1.90
O 0.8855 0.0891 0.3105 (multiplicity 1)  1 S 1.45
O 0.8859 0.0624 0.5979 (multiplicity 1)  1 Si 1.65
O 0.8884 0.5511 0.2525 (multiplicity 1)  1 S 1.48
O 0.8919 0.9010 0.2019 (multiplicity 1)  1 Si 1.71
O 0.8941 0.2391 0.9814 (multiplicity 1)  1 Si 1.64
O 0.8981 0.4043 0.5784 (multiplicity 1)  1 Si 1.64
O 0.8980 0.7416 0.2572 (multiplicity 1)  1 Si 1.61
O 0.9023 0.0879 0.9319 (multiplicity 1)  1 Si 1.57
O 0.9020 0.8850 0.3190 (multiplicity 1)  1 Si 1.56
O 0.9057 0.2284 0.5742 (multiplicity 1)  1 Si 1.66
O 0.9083 0.7612 0.5389 (multiplicity 1)  1 S 1.48
O 0.9142 0.8907 0.5937 (multiplicity 1)  1 S 1.50
O 0.9183 0.4125 0.9823 (multiplicity 1)  1 Si 1.62
O 0.9184 0.4203 0.8681 (multiplicity 1)  1 Si 1.70, 1 Ta 1.88
O 0.9190 0.5331 0.6506 (multiplicity 1)  1 Si 1.56
O 0.9204 0.0907 0.2043 (multiplicity 1)  1 S 1.54
O 0.9341 0.5624 0.9330 (multiplicity 1)  1 Si 1.68
O 0.9360 0.2219 0.2583 (multiplicity 1)  1 S 1.54

No. 2
A geometry-optimized Ta4PbO11 structure. Source: Materials Project, functional PBE.

Crystal system ... trigonal
Raw total energy ... -0.3408 hartree per atom

abc: 6.3014 6.3014 37.3551
angles: 90.00 90.00 120.00
With the nearest neighbours (Å) after each atom.
Space group R32 (No. 155, hexagonal axes)
Unique sites:
Ta 0.0000 0.0000 0.2497 (multiplicity 6)  6 O 1.98-2.01
Ta 0.0000 0.3567 0.0000 (multiplicity 9)  6 O 1.99-2.07
Ta 0.0000 0.6315 0.5000 (multiplicity 9)  6 O 2.00-2.05
Pb 0.0000 0.0000 0.4185 (multiplicity 6)  7 O 2.53-2.77
O 0.0000 0.0000 0.1559 (multiplicity 6)  3 Ta 2.04
O 0.0000 0.0000 0.3444 (multiplicity 6)  3 Ta 2.07
O 0.0000 0.2494 0.5000 (multiplicity 9)  2 Ta 2.05
O 0.0000 0.7568 0.0000 (multiplicity 9)  2 Ta 1.99
O 0.0235 0.7560 0.7809 (multiplicity 18)  2 Ta 1.98-2.00
O 0.0462 0.2781 0.2814 (multiplicity 18)  2 Ta 1.99-2.01